# 1
Compound: NaCo3O6
Source: the Materials Project database
Functional: GGA+U
Structure: relaxed

Cell lengths 4.9980, 4.9603, 5.9460 Å; angles 73.50, 98.09, 119.73 degrees
Closest atoms and distances in Å follow each position.
Element x y z (fractional)
Na 0.3318 0.1661 0.5000  6 O 2.42-2.52
Co 0.6712 0.3356 0.0001  6 O 1.95-2.02
Co 0.3322 0.6661 0.0000  6 O 1.89-1.91
Co 0.0011 0.0005 0.0000  6 O 1.88-1.93
O 0.3136 0.9271 0.1732  3 Co 1.88-2.02
O 0.0214 0.2771 0.1743  3 Co 1.89-2.01
O 0.6631 0.6146 0.1700  3 Co 1.90-1.95
O 0.6634 0.0486 0.8301  3 Co 1.90-1.95
O 0.3139 0.3865 0.8269  3 Co 1.88-2.02
O 0.0215 0.7444 0.8255  3 Co 1.89-2.01

Values from the calculation:
Its spin magnetization is 0.200 μB per atom. Its total energy is -56.681 eV for the cell shown. The space group is No. 5. Its volume is 122.7 Å³/cell. The energy relative to the lowest polymorph listed for this composition comes out at 35.2 meV per atom.

# 2
Compound: Ba2Nd2MgCo4O11
Source: the Materials Project database
Functional: GGA+U
Structure: relaxed

Cell lengths 3.8324, 8.1891, 8.4179 Å; angles 90.00, 90.00, 90.00 degrees
Closest atoms and distances in Å follow each position.
Element x y z (fractional)
Ba 0.5000 0.0000 0.7273  6 O 2.71-2.99
Ba 0.5000 0.0000 0.2727  6 O 2.71-2.99
Nd 0.5000 0.5000 0.2904  10 O 2.53-2.77
Nd 0.5000 0.5000 0.7096  10 O 2.53-2.77
Mg 0.0000 0.5000 0.0000  2 Co 2.28, 8 O 2.32-2.41
Co 0.0000 0.2213 0.0000  3 O 1.81-2.00
Co 0.0000 0.7787 0.0000  3 O 1.81-2.00
Co 0.0000 0.7447 0.5000  4 O 1.92-2.09
Co 0.0000 0.2553 0.5000  4 O 1.92-2.09
O 0.0000 0.3121 0.7796  1 Co 2.00
O 0.0000 0.6879 0.2204  1 Co 2.00
O 0.0000 0.3121 0.2204  1 Co 2.00
O 0.0000 0.6879 0.7796  1 Co 2.00
O 0.5000 0.2651 0.5000  2 Co 1.92
O 0.5000 0.7349 0.5000  2 Co 1.92
O 0.5000 0.3413 0.0000  2 Co 2.15, 2 Mg 2.32
O 0.5000 0.6587 0.0000  2 Co 2.15, 2 Mg 2.32
O 0.0000 0.0000 0.0000  2 Co 1.81
O 0.0000 0.5000 0.5000  2 Co 2.00
O 0.0000 0.0000 0.5000  2 Co 2.09

Values from the calculation:
Its spin magnetization is 0.598 μB per atom. Its total energy is -127.006 eV for the cell shown. The space group is No. 47. Its volume is 264.2 Å³/cell. The energy relative to the lowest polymorph listed for this composition comes out at 26.5 meV per atom.

# 3
Compound: V3O2F6
Source: the Materials Project database
Functional: GGA+U
Structure: relaxed

Cell lengths 4.7421, 5.5288, 10.4345 Å; angles 83.85, 90.00, 90.00 degrees
Closest atoms and distances in Å follow each position.
Element x y z (fractional)
V 0.5000 0.5000 0.0000  4 F 1.96-1.98, 2 O 2.06
V 0.9825 0.2699 0.2443  2 O 1.85-1.99, 4 F 1.97-2.02
V 0.4825 0.7301 0.2557  2 O 1.85-1.99, 4 F 1.97-2.02
V 0.0000 0.5000 0.5000  4 F 1.96-1.98, 2 O 2.06
V 0.5175 0.2699 0.7443  2 O 1.85-1.99, 4 F 1.97-2.02
V 0.0175 0.7301 0.7557  2 O 1.85-1.99, 4 F 1.97-2.02
O 0.7010 0.4776 0.1758  3 V 1.85-2.06
O 0.2010 0.5224 0.3242  3 V 1.85-2.06
O 0.7990 0.4776 0.6758  3 V 1.85-2.06
O 0.2990 0.5224 0.8242  3 V 1.85-2.06
F 0.1941 0.2965 0.0795  2 V 1.96-1.98
F 0.3248 0.7720 0.0799  2 V 1.97-1.98
F 0.7682 0.9773 0.1948  2 V 1.98-2.02
F 0.2682 0.0227 0.3052  2 V 1.98-2.02
F 0.8248 0.2280 0.4201  2 V 1.97-1.98
F 0.6941 0.7035 0.4205  2 V 1.96-1.98
F 0.3059 0.2965 0.5795  2 V 1.96-1.98
F 0.1752 0.7720 0.5799  2 V 1.97-1.98
F 0.7318 0.9773 0.6948  2 V 1.98-2.02
F 0.2318 0.0227 0.8052  2 V 1.98-2.02
F 0.6752 0.2280 0.9201  2 V 1.97-1.98
F 0.8059 0.7035 0.9205  2 V 1.96-1.98

Values from the calculation:
Its spin magnetization is 0.098 μB per atom. Its total energy is -141.359 eV for the cell shown. The space group is No. 14. Its volume is 272.0 Å³/cell. The energy relative to the lowest polymorph listed for this composition comes out at 132.7 meV per atom.

# 4
Compound: MgV2O4
Source: the Materials Project database
Functional: GGA+U
Structure: relaxed

Cell lengths 6.0526, 6.0526, 14.8351 Å; angles 89.67, 89.67, 59.93 degrees
Closest atoms and distances in Å follow each position.
Element x y z (fractional)
Mg 0.3361 0.3361 0.0413  4 O 2.00-2.02
Mg 0.6653 0.6653 0.3332  6 O 2.07-2.13
Mg 0.8328 0.8328 0.1675  6 O 2.07-2.12
Mg 0.3301 0.3301 0.6660  6 O 2.08-2.15
Mg 0.4982 0.4982 0.5000  6 O 2.07-2.11
Mg 0.1666 0.1666 0.8327  6 O 2.07-2.12
V 0.8360 0.3281 0.1670  6 O 2.02-2.09
V 0.0028 0.0028 0.3776  4 O 1.95-1.98
V 0.9986 0.9986 0.0031  6 O 2.00-2.13
V 0.3281 0.8360 0.1670  6 O 2.02-2.09
V 0.4996 0.9972 0.4998  6 O 2.02-2.08
V 0.6686 0.6686 0.7091  4 O 1.94-1.98
V 0.9972 0.4996 0.4998  6 O 2.02-2.08
V 0.1668 0.6609 0.8331  6 O 2.03-2.09
V 0.3273 0.3273 0.2897  4 O 1.93-1.98
V 0.6609 0.1668 0.8331  6 O 2.03-2.09
V 0.9938 0.9938 0.6242  4 O 1.96-1.98
V 0.6623 0.6623 0.9599  4 O 1.94-1.98
O 0.6975 0.1590 0.0858  2 V 2.00-2.02, 2 Mg 2.01-2.10
O 0.0011 0.0011 0.2454  3 V 1.96-2.07, 1 Mg 2.12
O 0.1590 0.6975 0.0858  2 V 2.00-2.02, 2 Mg 2.01-2.10
O 0.1550 0.1550 0.0886  1 Mg 2.02, 3 V 2.03-2.08
O 0.3540 0.8225 0.4198  2 V 1.95-2.06, 2 Mg 2.07
O 0.5055 0.5055 0.2448  3 V 1.98-2.08, 1 Mg 2.13
O 0.6673 0.6673 0.5764  3 V 1.97-2.07, 1 Mg 2.11
O 0.5061 0.9801 0.2463  2 V 1.93-2.07, 2 Mg 2.07-2.09
O 0.8225 0.3540 0.4198  2 V 1.95-2.06, 2 Mg 2.07
O 0.6635 0.6635 0.0905  3 V 1.94-2.09, 1 Mg 2.12
O 0.8243 0.8243 0.4210  3 V 1.98-2.06, 1 Mg 2.12
O 0.9801 0.5061 0.2463  2 V 1.93-2.07, 2 Mg 2.07-2.09
O 0.0172 0.4955 0.7526  2 V 1.94-2.04, 2 Mg 2.08-2.09
O 0.1718 0.1718 0.5791  3 V 1.98-2.08, 1 Mg 2.11
O 0.1671 0.6421 0.5787  2 V 1.96-2.02, 2 Mg 2.08-2.09
O 0.4955 0.0172 0.7526  2 V 1.94-2.04, 2 Mg 2.08-2.09
O 0.3335 0.3335 0.9066  2 Mg 2.00-2.07, 2 V 2.03
O 0.3293 0.3293 0.4234  3 V 1.98-2.07, 1 Mg 2.11
O 0.4911 0.4911 0.7546  3 V 1.98-2.06, 1 Mg 2.15
O 0.6421 0.1671 0.5787  2 V 1.96-2.02, 2 Mg 2.08-2.09
O 0.8401 0.8401 0.9136  4 V 1.98-2.13
O 0.8387 0.3075 0.9158  3 V 1.97-2.08, 1 Mg 2.12
O 0.9977 0.9977 0.7573  3 V 1.98-2.09, 1 Mg 2.10
O 0.3075 0.8387 0.9158  3 V 1.97-2.08, 1 Mg 2.12

Values from the calculation:
Its spin magnetization is 0.572 μB per atom. Its total energy is -311.907 eV for the cell shown. The space group is No. 8. Its volume is 470.3 Å³/cell. The energy relative to the lowest polymorph listed for this composition comes out at 52.7 meV per atom.

# 5
Compound: Nd2Zr3Mo9O36
Source: the Materials Project database
Functional: GGA+U
Structure: relaxed

Cell lengths 20.6852, 20.6852, 20.6852 Å; angles 27.94, 27.94, 27.94 degrees
Closest atoms and distances in Å follow each position.
Element x y z (fractional)
Nd 0.3041 0.3041 0.3041  9 O 2.48-2.55
Nd 0.1959 0.1959 0.1959  9 O 2.48-2.55
Nd 0.6959 0.6959 0.6959  9 O 2.48-2.55
Nd 0.8041 0.8041 0.8041  9 O 2.48-2.55
Zr 0.4047 0.4047 0.4047  6 O 2.09-2.14
Zr 0.0953 0.0953 0.0953  6 O 2.09-2.14
Zr 0.5953 0.5953 0.5953  6 O 2.09-2.14
Zr 0.0000 0.0000 0.0000  6 O 2.11
Zr 0.5000 0.5000 0.5000  6 O 2.11
Zr 0.9047 0.9047 0.9047  6 O 2.09-2.14
Mo 0.6207 0.8003 0.1537  4 O 1.75-1.84
Mo 0.6537 0.3003 0.1207  4 O 1.75-1.84
Mo 0.8793 0.3463 0.6997  4 O 1.75-1.84
Mo 0.2500 0.9710 0.5290  4 O 1.75-1.85
Mo 0.9710 0.5290 0.2500  4 O 1.75-1.85
Mo 0.1997 0.8463 0.3793  4 O 1.75-1.84
Mo 0.0290 0.4710 0.7500  4 O 1.75-1.85
Mo 0.1207 0.6537 0.3003  4 O 1.75-1.84
Mo 0.8463 0.3793 0.1997  4 O 1.75-1.84
Mo 0.1537 0.6207 0.8003  4 O 1.75-1.84
Mo 0.5290 0.2500 0.9710  4 O 1.75-1.85
Mo 0.4710 0.7500 0.0290  4 O 1.75-1.85
Mo 0.7500 0.0290 0.4710  4 O 1.75-1.85
Mo 0.3003 0.1207 0.6537  4 O 1.75-1.84
Mo 0.3463 0.6997 0.8793  4 O 1.75-1.84
Mo 0.3793 0.1997 0.8463  4 O 1.75-1.84
Mo 0.8003 0.1537 0.6207  4 O 1.75-1.84
Mo 0.6997 0.8793 0.3463  4 O 1.75-1.84
O 0.8423 0.0044 0.6583  1 Mo 1.76
O 0.3144 0.2587 0.5749  1 Mo 1.82
O 0.1583 0.5044 0.3423  1 Mo 1.76
O 0.4251 0.6856 0.7413  1 Mo 1.82
O 0.0707 0.2756 0.5640  1 Mo 1.75
O 0.8155 0.1023 0.1399  1 Mo 1.84
O 0.5652 0.6961 0.9183  1 Mo 1.75
O 0.2587 0.5749 0.3144  1 Mo 1.82
O 0.4348 0.3039 0.0817  1 Mo 1.75
O 0.1023 0.1399 0.8155  1 Mo 1.84
O 0.0382 0.2765 0.9191  1 Mo 1.85
O 0.7587 0.8144 0.0749  1 Mo 1.82
O 0.0749 0.7587 0.8144  1 Mo 1.82
O 0.4183 0.1961 0.0652  1 Mo 1.75
O 0.7235 0.0809 0.9618  1 Mo 1.85
O 0.2413 0.1856 0.9251  1 Mo 1.82
O 0.9191 0.0382 0.2765  1 Mo 1.85
O 0.5817 0.8039 0.9348  1 Mo 1.75
O 0.6399 0.6023 0.3155  1 Mo 1.84
O 0.1399 0.8155 0.1023  1 Mo 1.84
O 0.7413 0.4251 0.6856  1 Mo 1.82
O 0.2235 0.4618 0.5809  1 Mo 1.85
O 0.8144 0.0749 0.7587  1 Mo 1.82
O 0.4191 0.7765 0.5382  1 Mo 1.85
O 0.6023 0.3155 0.6399  1 Mo 1.84
O 0.0640 0.7756 0.5707  1 Mo 1.75
O 0.0809 0.9618 0.7235  1 Mo 1.85
O 0.3039 0.0817 0.4348  1 Mo 1.75
O 0.3417 0.1577 0.9956  1 Mo 1.76
O 0.5809 0.2235 0.4618  1 Mo 1.85
O 0.8977 0.8601 0.1845  1 Mo 1.84
O 0.8601 0.1845 0.8977  1 Mo 1.84
O 0.1845 0.8977 0.8601  1 Mo 1.84
O 0.1856 0.9251 0.2413  1 Mo 1.82
O 0.2765 0.9191 0.0382  1 Mo 1.85
O 0.0817 0.4348 0.3039  1 Mo 1.75
O 0.9956 0.3417 0.1577  1 Mo 1.76
O 0.4618 0.5809 0.2235  1 Mo 1.85
O 0.2756 0.5640 0.0707  1 Mo 1.75
O 0.0044 0.6583 0.8423  1 Mo 1.76
O 0.9348 0.5817 0.8039  1 Mo 1.75
O 0.1577 0.9956 0.3417  1 Mo 1.76
O 0.6583 0.8423 0.0044  1 Mo 1.76
O 0.9183 0.5652 0.6961  1 Mo 1.75
O 0.6856 0.7413 0.4251  1 Mo 1.82
O 0.1961 0.0652 0.4183  1 Mo 1.75
O 0.6845 0.3601 0.3977  1 Mo 1.84
O 0.2244 0.4293 0.9360  1 Mo 1.75
O 0.5640 0.0707 0.2756  1 Mo 1.75
O 0.0652 0.4183 0.1961  1 Mo 1.75
O 0.9293 0.7244 0.4360  1 Mo 1.75
O 0.3601 0.3977 0.6845  1 Mo 1.84
O 0.5707 0.0640 0.7756  1 Mo 1.75
O 0.6961 0.9183 0.5652  1 Mo 1.75
O 0.9618 0.7235 0.0809  1 Mo 1.85
O 0.3155 0.6399 0.6023  1 Mo 1.84
O 0.4293 0.9360 0.2244  1 Mo 1.75
O 0.8039 0.9348 0.5817  1 Mo 1.75
O 0.5382 0.4191 0.7765  1 Mo 1.85
O 0.7244 0.4360 0.9293  1 Mo 1.75
O 0.9251 0.2413 0.1856  1 Mo 1.82
O 0.3423 0.1583 0.5044  1 Mo 1.76
O 0.4360 0.9293 0.7244  1 Mo 1.75
O 0.6577 0.8417 0.4956  1 Mo 1.76
O 0.7756 0.5707 0.0640  1 Mo 1.75
O 0.5749 0.3144 0.2587  1 Mo 1.82
O 0.9360 0.2244 0.4293  1 Mo 1.75
O 0.8417 0.4956 0.6577  1 Mo 1.76
O 0.3977 0.6845 0.3601  1 Mo 1.84
O 0.7765 0.5382 0.4191  1 Mo 1.85
O 0.5044 0.3423 0.1583  1 Mo 1.76
O 0.4956 0.6577 0.8417  1 Mo 1.76

Values from the calculation:
Its total energy is -767.504 eV for the cell shown. The space group is No. 167. Its volume is 1715.5 Å³/cell.

# 6
Compound: Li9Mn2Co5O16
Source: the Materials Project database
Functional: GGA+U
Structure: relaxed

Cell lengths 5.1133, 5.8812, 10.4743 Å; angles 74.56, 76.34, 74.44 degrees
Closest atoms and distances in Å follow each position.
Element x y z (fractional)
Li 0.4980 0.8041 0.1355  6 O 2.06-2.26
Li 0.4996 0.3072 0.1319  5 O 2.05-2.27
Li 0.5032 0.4483 0.3699  6 O 2.13-2.28
Li 0.5037 0.9325 0.3741  6 O 2.03-2.25
Li 0.4984 0.0630 0.6192  6 O 2.06-2.21
Li 0.4961 0.5696 0.6198  5 O 1.99-2.22
Li 0.4997 0.6928 0.8754  6 O 2.05-2.29
Li 0.5014 0.1816 0.8774  5 O 2.05-2.17
Li 0.9969 0.6278 0.2501  6 O 2.08-2.16
Mn 0.0056 0.9937 0.0020  6 O 1.90-2.01
Mn 0.9966 0.8762 0.7500  6 O 1.91-1.98
Co 0.0000 0.4988 0.0031  4 O 1.87-1.99
Co 0.9992 0.1215 0.2495  6 O 1.98-2.08
Co 0.0048 0.2609 0.4885  4 O 1.86-2.07
Co 0.9948 0.7502 0.4933  6 O 1.92-2.14
Co 0.0009 0.3764 0.7489  5 O 1.89-2.10
O 0.2394 0.1418 0.0587  1 Mn 1.93, 2 Li 2.05-2.14, 2 Co 2.08-2.13
O 0.2181 0.6729 0.0526  1 Mn 1.91, 1 Co 1.93, 2 Li 2.06-2.10
O 0.2347 0.7941 0.3180  2 Co 1.95-2.03, 4 Li 2.03-2.14
O 0.2351 0.2715 0.3208  2 Co 1.86-2.03
O 0.2254 0.4069 0.5766  2 Co 1.89-2.07, 1 Li 2.07
O 0.2195 0.9020 0.5746  1 Mn 1.91, 1 Co 2.06, 2 Li 2.09-2.10
O 0.2273 0.0190 0.8181  2 Mn 1.96-1.98, 2 Li 2.08-2.17, 1 Co 2.14
O 0.2085 0.5465 0.8154  2 Co 1.98-1.99, 1 Mn 1.98, 1 Li 2.18
O 0.7758 0.4611 0.1731  2 Co 1.87-2.07, 2 Li 2.05-2.08
O 0.7744 0.9813 0.1743  1 Mn 1.90, 1 Co 1.98, 3 Li 2.06-2.13
O 0.7616 0.0906 0.4359  3 Co 2.03-2.05, 3 Li 2.06-2.19
O 0.7619 0.5892 0.4466  2 Co 1.92-2.00, 3 Li 1.99-2.13
O 0.7646 0.7275 0.6939  1 Mn 1.92, 2 Li 2.05-2.14, 2 Co 2.10-2.14
O 0.7880 0.2022 0.6899  1 Mn 1.95, 2 Co 1.97-2.12, 1 Li 2.15
O 0.7951 0.3286 0.9324  2 Co 1.95-1.99, 1 Mn 2.01, 1 Li 2.17
O 0.7716 0.8604 0.9305  2 Mn 1.96, 2 Li 2.05-2.16, 1 Co 2.17

Values from the calculation:
Its spin magnetization is 0.000 μB per atom. Its total energy is -186.034 eV for the cell shown. The space group is No. 1. Its volume is 287.9 Å³/cell. The energy relative to the lowest polymorph listed for this composition comes out at 41.1 meV per atom.

Question: Among the records above, which one has the lowest volume?
Answer: NaCo3O6

Question: Which value of total energy does entry 4 give?
Answer: -311.907 eV for the cell shown

Question: The lowest volume belongs to which entry?
Answer: NaCo3O6